1.
VASP calculation (PBE) on HfMg14BiO16 after structural relaxation. Values from VASP.

Computed properties:
* energy relative to the lowest polymorph listed for this composition: 5 meV per atom
* magnetization: 2.34 μB per cell
* calculated density: 4.68 g cm⁻³
* E_tot: -5.9489 eV/atom

```
&SYSTEM
  ibrav = 0, nat = 32, ntyp = 4
/
ATOMIC_SPECIES
Hf 178.49 Hf.upf
Mg 24.30 Mg.upf
Bi 208.98 Bi.upf
O 16.00 O.upf
CELL_PARAMETERS angstrom
8.900 0.000 0.000
0.000 8.900 0.000
0.000 0.000 4.408
ATOMIC_POSITIONS angstrom
Hf 0.000 0.000 0.000
Mg 0.000 2.299 2.204
Mg 0.000 4.450 0.000
Mg 0.000 6.601 2.204
Mg 2.140 4.450 2.204
Mg 2.258 2.258 0.000
Mg 2.258 6.642 0.000
Mg 2.299 0.000 2.204
Mg 4.450 0.000 0.000
Mg 4.450 2.140 2.204
Mg 4.450 6.760 2.204
Mg 6.601 0.000 2.204
Mg 6.642 2.258 0.000
Mg 6.642 6.642 0.000
Mg 6.760 4.450 2.204
Bi 4.450 4.450 0.000
O 0.000 0.000 2.204
O 0.000 2.152 0.000
O 0.000 4.450 2.204
O 0.000 6.748 0.000
O 1.920 4.450 0.000
O 2.152 0.000 0.000
O 2.202 2.202 2.204
O 2.202 6.698 2.204
O 4.450 0.000 2.204
O 4.450 1.920 0.000
O 4.450 4.450 2.204
O 4.450 6.980 0.000
O 6.698 2.202 2.204
O 6.698 6.698 2.204
O 6.748 0.000 0.000
O 6.980 4.450 0.000
```

---

2.
VASP calculation (PBE) on Gd2Se2O after structural relaxation. Values from VASP.

Computed properties:
* calculated density: 7.06 g cm⁻³
* E_tot: -10.4921 eV/atom

```
&SYSTEM
  ibrav = 0, nat = 20, ntyp = 3
/
ATOMIC_SPECIES
Gd 157.25 Gd.upf
Se 78.96 Se.upf
O 16.00 O.upf
CELL_PARAMETERS angstrom
16.265 0.000 0.000
0.000 3.975 0.000
0.000 0.000 7.103
ATOMIC_POSITIONS angstrom
Gd 0.625 0.994 1.407
Gd 2.624 0.994 5.393
Gd 5.509 2.981 1.842
Gd 7.508 2.981 4.959
Gd 8.758 0.994 2.144
Gd 10.756 0.994 5.261
Gd 13.641 2.981 1.710
Gd 15.640 2.981 5.696
Se 1.625 2.981 3.621
Se 2.926 2.981 0.367
Se 5.206 0.994 3.919
Se 6.508 0.994 0.070
Se 9.758 2.981 7.033
Se 11.059 2.981 3.184
Se 13.339 0.994 6.736
Se 14.640 0.994 3.482
O 0.500 0.994 6.190
O 7.633 2.981 2.639
O 8.633 0.994 4.464
O 15.765 2.981 0.913
```

---

3.
VASP calculation (PBE) on LiTiS2 after structural relaxation. Values from VASP.

Computed properties:
* calculated density: 3.07 g cm⁻³
* E_tot: -5.9250 eV/atom

```
&SYSTEM
  ibrav = 0, nat = 4, ntyp = 3
/
ATOMIC_SPECIES
Li 6.94 Li.upf
Ti 47.87 Ti.upf
S 32.06 S.upf
CELL_PARAMETERS angstrom
1.744 1.007 6.113
-1.744 1.007 6.113
0.000 -2.014 6.113
ATOMIC_POSITIONS angstrom
Li 0.000 0.000 0.000
Ti 0.000 0.000 9.169
S 0.000 0.000 4.507
S 0.000 0.000 13.831
```

---

4.
VASP calculation (PBE) on Nd5In4Pt2 after structural relaxation. Values from VASP.

Computed properties:
* calculated density: 8.79 g cm⁻³
* E_tot: -5.0300 eV/atom

```
&SYSTEM
  ibrav = 0, nat = 22, ntyp = 3
/
ATOMIC_SPECIES
Nd 144.24 Nd.upf
In 114.82 In.upf
Pt 195.08 Pt.upf
CELL_PARAMETERS angstrom
8.333 0.000 0.000
0.000 18.776 0.000
0.000 0.000 3.793
ATOMIC_POSITIONS angstrom
Nd 0.000 0.000 0.000
Nd 0.975 7.794 0.000
Nd 2.025 4.103 0.000
Nd 2.141 13.491 0.000
Nd 3.192 17.182 0.000
Nd 4.167 9.388 0.000
Nd 5.141 1.594 0.000
Nd 6.192 5.285 0.000
Nd 6.308 14.672 0.000
Nd 7.358 10.982 0.000
In 0.612 15.963 1.897
In 1.732 10.667 1.897
In 2.434 1.280 1.897
In 3.555 6.576 1.897
In 4.778 12.200 1.897
In 5.899 17.496 1.897
In 6.601 8.108 1.897
In 7.721 2.812 1.897
Pt 0.201 5.688 1.897
Pt 3.966 15.076 1.897
Pt 4.367 3.700 1.897
Pt 8.132 13.088 1.897
```

---

5.
VASP calculation (PBE) on Cs2NaYBr6 after structural relaxation. Values from VASP.

Computed properties:
* magnetization: 0.00 μB per cell
* calculated density: 3.73 g cm⁻³
* E_tot: -3.7864 eV/atom

```
&SYSTEM
  ibrav = 0, nat = 10, ntyp = 4
/
ATOMIC_SPECIES
Cs 132.91 Cs.upf
Na 22.99 Na.upf
Y 88.91 Y.upf
Br 79.90 Br.upf
CELL_PARAMETERS angstrom
0.000 5.756 5.756
5.756 0.000 5.756
5.756 5.756 0.000
ATOMIC_POSITIONS angstrom
Cs 2.878 2.878 2.878
Cs 8.634 8.634 8.634
Na 0.000 0.000 0.000
Y 5.756 5.756 5.756
Br 5.756 5.756 2.954
Br 5.756 2.954 5.756
Br 8.558 5.756 5.756
Br 2.954 5.756 5.756
Br 5.756 8.558 5.756
Br 5.756 5.756 8.558
```

---

6.
VASP calculation (PBE) on TbSi3Rh after structural relaxation. Values from VASP.

Computed properties:
* calculated density: 6.72 g cm⁻³
* E_tot: -6.4341 eV/atom

```
&SYSTEM
  ibrav = 0, nat = 5, ntyp = 3
/
ATOMIC_SPECIES
Tb 158.93 Tb.upf
Si 28.09 Si.upf
Rh 102.91 Rh.upf
CELL_PARAMETERS angstrom
-2.088 2.088 4.903
2.088 -2.088 4.903
2.088 2.088 -4.903
ATOMIC_POSITIONS angstrom
Tb 0.000 0.000 0.000
Si 2.088 0.000 2.601
Si 0.000 0.000 4.080
Si 0.000 2.088 2.601
Rh 0.000 0.000 6.415
```

---

7.
VASP calculation (PBE) on K2P2PdS6 after structural relaxation. Values from VASP.

Computed properties:
* magnetization: 0.00 μB per cell
* calculated density: 2.47 g cm⁻³
* E_tot: -4.5979 eV/atom

```
&SYSTEM
  ibrav = 0, nat = 44, ntyp = 4
/
ATOMIC_SPECIES
K 39.10 K.upf
P 30.97 P.upf
Pd 106.42 Pd.upf
S 32.06 S.upf
CELL_PARAMETERS angstrom
15.947 0.000 0.000
0.000 7.214 0.000
0.000 0.000 10.269
ATOMIC_POSITIONS angstrom
K 1.897 1.803 0.663
K 2.921 1.803 6.020
K 5.053 5.410 0.886
K 6.076 5.410 5.798
K 9.871 1.803 4.472
K 10.894 1.803 9.384
K 13.026 5.410 4.249
K 14.049 5.410 9.606
P 0.900 5.410 2.248
P 2.681 5.410 3.596
P 5.292 1.803 8.731
P 7.073 1.803 7.383
P 8.874 5.410 2.887
P 10.654 5.410 1.538
P 13.265 1.803 6.673
P 15.046 1.803 8.022
Pd 0.000 0.000 5.135
Pd 0.000 3.607 5.135
Pd 7.973 0.000 0.000
Pd 7.973 3.607 0.000
S 0.127 0.092 7.500
S 0.127 3.515 7.500
S 1.439 5.410 0.337
S 1.511 5.410 5.410
S 3.711 3.714 3.427
S 3.711 7.106 3.427
S 4.263 0.107 8.561
S 4.263 3.499 8.561
S 6.463 1.803 0.275
S 6.534 1.803 5.471
S 7.846 3.699 2.365
S 7.846 7.121 2.365
S 8.100 0.092 7.904
S 8.100 3.515 7.904
S 9.412 5.410 4.798
S 9.484 5.410 9.995
S 11.684 3.714 1.708
S 11.684 7.106 1.708
S 12.236 0.107 6.843
S 12.236 3.499 6.843
S 14.436 1.803 4.860
S 14.508 1.803 9.933
S 15.819 3.699 2.770
S 15.819 7.121 2.770
```

---

8.
VASP calculation (PBE) on TbMnSi after structural relaxation. Values from VASP.

Computed properties:
* calculated density: 7.24 g cm⁻³
* E_tot: -6.9763 eV/atom

```
&SYSTEM
  ibrav = 0, nat = 6, ntyp = 3
/
ATOMIC_SPECIES
Tb 158.93 Tb.upf
Mn 54.94 Mn.upf
Si 28.09 Si.upf
CELL_PARAMETERS angstrom
3.931 0.000 0.000
0.000 3.931 0.000
0.000 0.000 7.182
ATOMIC_POSITIONS angstrom
Tb 0.983 0.983 1.226
Tb 2.948 2.948 5.956
Mn 0.983 2.948 3.591
Mn 2.948 0.983 3.591
Si 0.983 0.983 5.024
Si 2.948 2.948 2.158
```